# Cu7Hg6 (PBE, relaxed)
data_Cu7Hg6
_chemical_formula_sum 'Cu42 Hg36'
_cell_length_a 13.5898
_cell_length_b 13.5898
_cell_length_c 8.1896
_cell_angle_alpha 90.00
_cell_angle_beta 90.00
_cell_angle_gamma 120.00
_space_group_name_H-M_alt 'R 3 m'
_space_group_IT_number 160
_space_group_name_Hall 'R 3 -2"'
loop_
_atom_site_label
_atom_site_type_symbol
_atom_site_fract_x
_atom_site_fract_y
_atom_site_fract_z
Cu1 Cu 0.0000 0.0000 0.0000
Cu2 Cu 0.0000 0.0000 0.4990
Cu3 Cu 0.0654 0.1308 0.2573
Cu4 Cu 0.1068 0.2137 0.5647
Cu5 Cu 0.1304 0.0652 0.7423
Cu6 Cu 0.2135 0.1068 0.4360
Hg1 Hg 0.0546 0.3340 0.3337
Hg2 Hg 0.0981 0.5490 0.6023
Hg3 Hg 0.2156 0.4313 0.7327
# **Distance to the lowest polymorph of the same formula**: 0 meV per atom
# **DFT total energy**: -0.081 Ha/atom